A relaxed MnO2 crystal, computed with GGA+U. Values from VASP.

The structure in Quantum ESPRESSO input format:
```
&SYSTEM
  ibrav = 0, nat = 3, ntyp = 2
/
ATOMIC_SPECIES
Mn 54.94 Mn.upf
O 16.00 O.upf
ATOMIC_POSITIONS crystal
Mn 0.000 0.000 0.000
O 0.333 0.667 0.796
O 0.667 0.333 0.204
CELL_PARAMETERS angstrom
2.931 0.000 0.000
-1.466 2.538 0.000
0.000 0.000 4.698
```

Properties
**Space-group type**: No. 164
**Volume**: 35.0 Å³/cell
**E_form**: -1.79 eV/atom

---

A relaxed ThV2H4O9 crystal, computed with GGA+U. Values from VASP.

The structure in Quantum ESPRESSO input format:
```
&SYSTEM
  ibrav = 0, nat = 32, ntyp = 4
/
ATOMIC_SPECIES
Th 232.04 Th.upf
V 50.94 V.upf
H 1.01 H.upf
O 16.00 O.upf
ATOMIC_POSITIONS crystal
Th 0.142 0.255 0.417
Th 0.858 0.745 0.583
V 0.228 0.793 0.207
V 0.294 0.836 0.754
V 0.706 0.164 0.246
V 0.772 0.207 0.793
H 0.102 0.327 0.009
H 0.267 0.509 0.634
H 0.330 0.289 0.987
H 0.405 0.324 0.657
H 0.595 0.676 0.343
H 0.670 0.711 0.013
H 0.733 0.491 0.366
H 0.898 0.673 0.991
O 0.107 0.596 0.341
O 0.117 0.953 0.342
O 0.157 0.696 0.686
O 0.173 0.842 0.990
O 0.206 0.326 0.069
O 0.290 0.045 0.619
O 0.311 0.392 0.590
O 0.468 0.771 0.182
O 0.471 0.249 0.265
O 0.529 0.751 0.735
O 0.532 0.229 0.818
O 0.689 0.608 0.410
O 0.710 0.955 0.381
O 0.794 0.674 0.931
O 0.827 0.158 0.010
O 0.843 0.304 0.314
O 0.883 0.047 0.658
O 0.893 0.404 0.659
CELL_PARAMETERS angstrom
7.126 0.000 0.000
0.646 7.460 0.000
2.082 1.480 7.412
```

Properties
**Space-group type**: No. 2
**Volume**: 394.0 Å³/cell
**Magnetization**: 0.00 μB per cell
**E_form**: -2.32 eV/atom

---

A relaxed Fe5SnP6O24 crystal, computed with GGA+U. Values from VASP.

The structure in Quantum ESPRESSO input format:
```
&SYSTEM
  ibrav = 0, nat = 36, ntyp = 4
/
ATOMIC_SPECIES
Fe 55.84 Fe.upf
Sn 118.71 Sn.upf
P 30.97 P.upf
O 16.00 O.upf
ATOMIC_POSITIONS crystal
Fe 0.000 0.000 0.000
Fe 0.140 0.140 0.140
Fe 0.349 0.349 0.349
Fe 0.495 0.495 0.495
Fe 0.642 0.642 0.642
Sn 0.853 0.853 0.853
P 0.046 0.448 0.743
P 0.249 0.948 0.536
P 0.448 0.743 0.046
P 0.536 0.249 0.948
P 0.743 0.046 0.448
P 0.948 0.536 0.249
O 0.012 0.602 0.812
O 0.060 0.253 0.900
O 0.092 0.933 0.738
O 0.101 0.496 0.319
O 0.176 0.990 0.385
O 0.245 0.435 0.585
O 0.253 0.900 0.060
O 0.319 0.101 0.496
O 0.385 0.176 0.990
O 0.405 0.747 0.553
O 0.435 0.585 0.245
O 0.496 0.319 0.101
O 0.498 0.674 0.888
O 0.553 0.405 0.747
O 0.585 0.245 0.435
O 0.602 0.812 0.012
O 0.674 0.888 0.498
O 0.738 0.092 0.933
O 0.747 0.553 0.405
O 0.812 0.012 0.602
O 0.888 0.498 0.674
O 0.900 0.060 0.253
O 0.933 0.738 0.092
O 0.990 0.385 0.176
CELL_PARAMETERS angstrom
4.344 2.508 6.921
-4.344 2.508 6.921
0.000 -5.016 6.921
```

Properties
**Space-group type**: No. 146
**Volume**: 452.4 Å³/cell
**Magnetization**: 24.00 μB per cell
**E_form**: -2.33 eV/atom

---

A relaxed Li2VC2O6 crystal, computed with GGA+U. Values from VASP.

The structure in Quantum ESPRESSO input format:
```
&SYSTEM
  ibrav = 0, nat = 22, ntyp = 4
/
ATOMIC_SPECIES
Li 6.94 Li.upf
V 50.94 V.upf
C 12.01 C.upf
O 16.00 O.upf
ATOMIC_POSITIONS crystal
Li 0.000 0.000 0.000
Li 0.075 0.490 0.842
Li 0.277 0.089 0.323
Li 0.711 0.566 0.507
V 0.346 0.557 0.171
V 0.587 0.043 0.666
C 0.307 0.444 0.471
C 0.482 0.148 0.967
C 0.524 0.647 0.870
C 0.874 0.960 0.367
O 0.046 0.914 0.224
O 0.112 0.452 0.404
O 0.267 0.650 0.923
O 0.273 0.148 0.916
O 0.304 0.383 0.618
O 0.451 0.203 0.113
O 0.509 0.497 0.379
O 0.626 0.691 0.722
O 0.628 0.945 0.407
O 0.673 0.601 0.974
O 0.726 0.094 0.864
O 0.953 0.020 0.478
CELL_PARAMETERS angstrom
5.338 0.000 0.000
2.579 5.872 0.000
2.398 -0.088 8.333
```

Properties
**Space-group type**: No. 1
**Volume**: 261.2 Å³/cell
**Magnetization**: 2.00 μB per cell
**E above lowest polymorph**: 0.84 eV/f.u.
**E_form**: -2.05 eV/atom

---

A relaxed CoH4SeO5 crystal, computed with GGA+U. Values from VASP.

The structure in Quantum ESPRESSO input format:
```
&SYSTEM
  ibrav = 0, nat = 44, ntyp = 4
/
ATOMIC_SPECIES
Co 58.93 Co.upf
H 1.01 H.upf
Se 78.96 Se.upf
O 16.00 O.upf
ATOMIC_POSITIONS crystal
Co 0.161 0.126 0.017
Co 0.161 0.374 0.517
Co 0.839 0.626 0.483
Co 0.839 0.874 0.983
H 0.144 0.611 0.875
H 0.144 0.889 0.375
H 0.257 0.029 0.395
H 0.257 0.471 0.895
H 0.394 0.213 0.369
H 0.394 0.287 0.869
H 0.458 0.584 0.121
H 0.458 0.916 0.621
H 0.542 0.084 0.379
H 0.542 0.416 0.879
H 0.606 0.713 0.131
H 0.606 0.787 0.631
H 0.743 0.529 0.105
H 0.743 0.971 0.605
H 0.856 0.111 0.625
H 0.856 0.389 0.125
Se 0.237 0.621 0.321
Se 0.237 0.879 0.821
Se 0.763 0.121 0.179
Se 0.763 0.379 0.679
O 0.068 0.735 0.728
O 0.068 0.765 0.228
O 0.144 0.572 0.464
O 0.144 0.928 0.964
O 0.204 0.530 0.955
O 0.204 0.970 0.455
O 0.370 0.127 0.299
O 0.370 0.373 0.799
O 0.462 0.175 0.011
O 0.462 0.325 0.511
O 0.538 0.675 0.489
O 0.538 0.825 0.989
O 0.630 0.627 0.201
O 0.630 0.873 0.701
O 0.796 0.030 0.545
O 0.796 0.470 0.045
O 0.856 0.072 0.036
O 0.856 0.428 0.536
O 0.932 0.235 0.772
O 0.932 0.265 0.272
CELL_PARAMETERS angstrom
6.580 0.000 0.000
0.000 10.120 0.000
-5.105 0.000 7.259
```

Properties
**Space-group type**: No. 14
**Volume**: 483.4 Å³/cell
**Magnetization**: 12.00 μB per cell
**E above lowest polymorph**: 0.50 eV/f.u.
**E_form**: -1.24 eV/atom

---

A relaxed Li9Cr3P8O29 crystal, computed with GGA+U. Values from VASP.

The structure in Quantum ESPRESSO input format:
```
&SYSTEM
  ibrav = 0, nat = 98, ntyp = 4
/
ATOMIC_SPECIES
Li 6.94 Li.upf
Cr 52.00 Cr.upf
P 30.97 P.upf
O 16.00 O.upf
ATOMIC_POSITIONS crystal
Li 0.000 0.000 0.000
Li 0.000 0.000 0.500
Li 0.100 0.336 0.437
Li 0.100 0.764 0.937
Li 0.236 0.336 0.937
Li 0.236 0.900 0.437
Li 0.333 0.667 0.120
Li 0.333 0.667 0.620
Li 0.336 0.100 0.063
Li 0.336 0.236 0.563
Li 0.664 0.764 0.437
Li 0.664 0.900 0.937
Li 0.667 0.333 0.380
Li 0.667 0.333 0.880
Li 0.764 0.100 0.563
Li 0.764 0.664 0.063
Li 0.900 0.236 0.063
Li 0.900 0.664 0.563
Cr 0.000 0.433 0.250
Cr 0.000 0.567 0.750
Cr 0.433 0.000 0.250
Cr 0.433 0.433 0.750
Cr 0.567 0.000 0.750
Cr 0.567 0.567 0.250
P 0.090 0.317 0.656
P 0.090 0.773 0.156
P 0.227 0.317 0.156
P 0.227 0.910 0.656
P 0.317 0.090 0.844
P 0.317 0.227 0.344
P 0.333 0.667 0.375
P 0.333 0.667 0.875
P 0.667 0.333 0.125
P 0.667 0.333 0.625
P 0.683 0.773 0.656
P 0.683 0.910 0.156
P 0.773 0.090 0.344
P 0.773 0.683 0.844
P 0.910 0.227 0.844
P 0.910 0.683 0.344
O 0.000 0.214 0.750
O 0.000 0.786 0.250
O 0.002 0.228 0.933
O 0.002 0.774 0.433
O 0.078 0.331 0.156
O 0.078 0.747 0.656
O 0.108 0.481 0.666
O 0.108 0.626 0.166
O 0.189 0.512 0.337
O 0.189 0.677 0.837
O 0.214 0.000 0.750
O 0.214 0.214 0.250
O 0.226 0.228 0.433
O 0.226 0.998 0.933
O 0.228 0.002 0.567
O 0.228 0.226 0.067
O 0.253 0.331 0.656
O 0.253 0.922 0.156
O 0.323 0.512 0.837
O 0.323 0.811 0.337
O 0.331 0.078 0.344
O 0.331 0.253 0.844
O 0.333 0.667 0.485
O 0.333 0.667 0.985
O 0.374 0.481 0.166
O 0.374 0.892 0.666
O 0.481 0.108 0.834
O 0.481 0.374 0.334
O 0.488 0.677 0.337
O 0.488 0.811 0.837
O 0.512 0.189 0.163
O 0.512 0.323 0.663
O 0.519 0.626 0.666
O 0.519 0.892 0.166
O 0.626 0.108 0.334
O 0.626 0.519 0.834
O 0.667 0.333 0.015
O 0.667 0.333 0.515
O 0.669 0.747 0.156
O 0.669 0.922 0.656
O 0.677 0.189 0.663
O 0.677 0.488 0.163
O 0.747 0.078 0.844
O 0.747 0.669 0.344
O 0.772 0.774 0.933
O 0.772 0.998 0.433
O 0.774 0.002 0.067
O 0.774 0.772 0.567
O 0.786 0.000 0.250
O 0.786 0.786 0.750
O 0.811 0.323 0.163
O 0.811 0.488 0.663
O 0.892 0.374 0.834
O 0.892 0.519 0.334
O 0.922 0.253 0.344
O 0.922 0.669 0.844
O 0.998 0.226 0.567
O 0.998 0.772 0.067
CELL_PARAMETERS angstrom
9.823 0.000 0.000
-4.912 8.507 0.000
0.000 0.000 13.767
```

Properties
**Space-group type**: No. 165
**Volume**: 1150.4 Å³/cell
**Magnetization**: 18.00 μB per cell
**E_form**: -2.70 eV/atom

---

A relaxed LiCoO2 crystal, computed with GGA+U. Values from VASP.

The structure in Quantum ESPRESSO input format:
```
&SYSTEM
  ibrav = 0, nat = 16, ntyp = 3
/
ATOMIC_SPECIES
Li 6.94 Li.upf
Co 58.93 Co.upf
O 16.00 O.upf
ATOMIC_POSITIONS crystal
Li 0.000 0.000 0.000
Li 0.500 0.000 0.000
Li 0.500 0.000 0.500
Li 0.500 0.500 0.500
Co 0.000 0.000 0.500
Co 0.000 0.500 0.000
Co 0.000 0.500 0.500
Co 0.500 0.500 0.000
O 0.224 0.747 0.477
O 0.231 0.253 0.977
O 0.238 0.250 0.512
O 0.238 0.726 0.988
O 0.762 0.274 0.012
O 0.762 0.750 0.488
O 0.769 0.747 0.023
O 0.776 0.253 0.523
CELL_PARAMETERS angstrom
-2.894 2.907 4.119
2.894 -2.907 4.119
2.894 2.907 -4.119
```

Properties
**Space-group type**: No. 74
**Volume**: 138.6 Å³/cell
**E_form**: -1.72 eV/atom

---

A relaxed Li9Mn2Co5O16 crystal, computed with GGA+U. Values from VASP.

The structure in Quantum ESPRESSO input format:
```
&SYSTEM
  ibrav = 0, nat = 32, ntyp = 4
/
ATOMIC_SPECIES
Li 6.94 Li.upf
Mn 54.94 Mn.upf
Co 58.93 Co.upf
O 16.00 O.upf
ATOMIC_POSITIONS crystal
Li 0.000 0.000 0.000
Li 0.005 0.503 0.497
Li 0.123 0.877 0.500
Li 0.240 0.240 0.491
Li 0.373 0.627 0.500
Li 0.497 0.995 0.503
Li 0.625 0.375 0.500
Li 0.760 0.760 0.509
Li 0.880 0.120 0.500
Mn 0.500 0.500 0.000
Mn 0.752 0.248 0.000
Co 0.123 0.372 0.006
Co 0.244 0.756 0.000
Co 0.366 0.122 0.999
Co 0.628 0.877 0.994
Co 0.878 0.634 0.001
O 0.003 0.740 0.764
O 0.124 0.617 0.229
O 0.140 0.139 0.769
O 0.260 0.997 0.236
O 0.265 0.502 0.776
O 0.380 0.380 0.228
O 0.383 0.876 0.771
O 0.498 0.735 0.224
O 0.512 0.263 0.779
O 0.620 0.620 0.772
O 0.625 0.130 0.219
O 0.737 0.488 0.221
O 0.744 0.014 0.769
O 0.861 0.860 0.231
O 0.870 0.375 0.781
O 0.986 0.256 0.231
CELL_PARAMETERS angstrom
5.121 -5.816 0.000
5.121 5.816 0.000
-1.794 0.000 4.851
```

Properties
**Space-group type**: No. 5
**Volume**: 288.9 Å³/cell
**E above lowest polymorph**: 1.02 eV/f.u.
**E_form**: -1.83 eV/atom

---

A relaxed MgMn2P2O9 crystal, computed with GGA+U. Values from VASP.

The structure in Quantum ESPRESSO input format:
```
&SYSTEM
  ibrav = 0, nat = 56, ntyp = 4
/
ATOMIC_SPECIES
Mg 24.30 Mg.upf
Mn 54.94 Mn.upf
P 30.97 P.upf
O 16.00 O.upf
ATOMIC_POSITIONS crystal
Mg 0.227 0.250 0.095
Mg 0.273 0.750 0.595
Mg 0.727 0.250 0.405
Mg 0.773 0.750 0.905
Mn 0.000 0.000 0.000
Mn 0.000 0.500 0.000
Mn 0.119 0.250 0.647
Mn 0.381 0.750 0.147
Mn 0.500 0.000 0.500
Mn 0.500 0.500 0.500
Mn 0.619 0.250 0.853
Mn 0.881 0.750 0.353
P 0.072 0.750 0.631
P 0.200 0.750 0.113
P 0.300 0.250 0.613
P 0.428 0.250 0.131
P 0.572 0.750 0.869
P 0.700 0.750 0.387
P 0.800 0.250 0.887
P 0.928 0.250 0.369
O 0.002 0.250 0.519
O 0.022 0.750 0.822
O 0.050 0.250 0.871
O 0.141 0.566 0.621
O 0.141 0.934 0.621
O 0.144 0.543 0.109
O 0.144 0.957 0.109
O 0.226 0.250 0.454
O 0.237 0.250 0.793
O 0.263 0.750 0.293
O 0.274 0.750 0.954
O 0.356 0.043 0.609
O 0.356 0.457 0.609
O 0.359 0.066 0.121
O 0.359 0.434 0.121
O 0.450 0.750 0.371
O 0.478 0.250 0.322
O 0.498 0.750 0.019
O 0.502 0.250 0.981
O 0.522 0.750 0.678
O 0.550 0.250 0.629
O 0.641 0.566 0.879
O 0.641 0.934 0.879
O 0.644 0.543 0.391
O 0.644 0.957 0.391
O 0.726 0.250 0.046
O 0.737 0.250 0.707
O 0.763 0.750 0.207
O 0.774 0.750 0.546
O 0.856 0.043 0.891
O 0.856 0.457 0.891
O 0.859 0.066 0.379
O 0.859 0.434 0.379
O 0.950 0.750 0.129
O 0.978 0.250 0.178
O 0.998 0.750 0.481
CELL_PARAMETERS angstrom
14.357 0.000 0.000
0.000 6.393 0.000
0.000 0.000 7.246
```

Properties
**Space-group type**: No. 62
**Volume**: 665.0 Å³/cell
**Magnetization**: 32.00 μB per cell
**E_form**: -2.53 eV/atom